(1)
Density functional theory data (r²SCAN) for an optimized crystal structure of Zr2AlFe3.

Unit cell a=5.0306 b=5.0306 c=12.5868 alpha=90.00 beta=90.00 gamma=120.00
Space group R-3m (No. 166, hexagonal axes)
Unique sites:
Zr 0.0000 0.0000 0.1222
Al 0.0000 0.0000 0.5000
Fe 0.0000 0.5000 0.0000

Computed properties:
The crystal system is trigonal. The energy above the most stable polymorph in this dataset comes out at 0.070 eV per formula unit.


(2)
Density functional theory data (r²SCAN) for an optimized crystal structure of HoF3.

Unit cell a=6.318 b=6.798 c=4.348 alpha=90.00 beta=90.00 gamma=90.00
Space group Pnma (No. 62)
Unique sites:
Ho 0.130 0.250 0.063
F 0.023 0.750 0.411
F 0.166 0.563 0.879

Computed properties:
The crystal system is orthorhombic.


(3)
Density functional theory data (r²SCAN) for an optimized crystal structure of Ba9In4H.

Unit cell a=14.118 b=14.118 c=5.970 alpha=90.00 beta=90.00 gamma=90.00
Space group I4/m (No. 87)
Unique sites:
Ba 0.000 0.000 0.000
Ba 0.109 0.183 0.500
Ba 0.115 0.372 0.000
In 0.099 0.761 0.000
H 0.000 0.000 0.500

Computed properties:
The crystal system is tetragonal.


(4)
Density functional theory data (r²SCAN) for an optimized crystal structure of In3Ru.

Unit cell a=7.029 b=7.029 c=7.314 alpha=90.00 beta=90.00 gamma=90.00
Space group P4_2/mnm (No. 136)
Unique sites:
In 0.000 0.500 0.000
In 0.155 0.155 0.237
Ru 0.156 0.844 0.000

Computed properties:
The crystal system is tetragonal.


(5)
Density functional theory data (r²SCAN) for an optimized crystal structure of K2Mo3O10.

Unit cell a=13.939 b=7.902 c=8.905 alpha=90.00 beta=99.04 gamma=90.00
Space group C2/c (No. 15)
Unique sites:
K 0.185 0.092 0.157
Mo 0.000 0.195 0.750
Mo 0.109 0.422 0.519
O 0.026 0.409 0.911
O 0.055 0.061 0.887
O 0.122 0.258 0.678
O 0.137 0.309 0.369
O 0.207 0.448 0.081

Computed properties:
The crystal system is monoclinic.


(6)
Density functional theory data (r²SCAN) for an optimized crystal structure of Rb2FeF4.

Unit cell a=4.229 b=4.229 c=13.461 alpha=90.00 beta=90.00 gamma=90.00
Space group I4/mmm (No. 139)
Unique sites:
Rb 0.000 0.000 0.144
Fe 0.000 0.000 0.500
F 0.000 0.000 0.351
F 0.000 0.500 0.000

Computed properties:
The crystal system is tetragonal.


Electronic total energy, respectively: -97.2, -60.2, -337.7, -94.1, -183.4, -73.9 eV per formula unit.
Formation energy from the elements, respectively: -293, -4494, -387, -236, -2231, -2735 meV/atom.